# 1
La2PdO4 after structural relaxation. Source: the Materials Project, functional GGA-PBE.

Properties
Final energy (eV/cell): -105.95
M_tot (μB per cell): 0.07
MP2020-corrected energy (eV for the cell shown): -111.444
Formation energy from the elements (eV/atom): -2.98

```
data_La2PdO4
_chemical_formula_sum 'La4 Pd2 O8'
_symmetry_space_group_name_H-M 'I 4/m m m'
_symmetry_Int_Tables_number 139
_symmetry_space_group_name_Hall '-I 4 2'
_cell_length_a 4.097
_cell_length_b 4.097
_cell_length_c 12.633
_cell_angle_alpha 90.00
_cell_angle_beta 90.00
_cell_angle_gamma 90.00
loop_
_atom_site_label
_atom_site_type_symbol
_atom_site_fract_x
_atom_site_fract_y
_atom_site_fract_z
_atom_site_occupancy
La1 La 0.000 0.000 0.152 1
Pd1 Pd 0.000 0.000 0.500 1
O1 O 0.000 0.500 0.000 1
O2 O 0.000 0.500 0.250 1
```

***

# 2
GeS2 after structural relaxation. Source: the Materials Project, functional GGA-PBE.

Properties
Final energy (eV/cell): -55.32
Maximum piezoelectric response (C/m2): 0.1
MP2020-corrected energy (eV for the cell shown): -59.341
Formation energy from the elements (eV/atom): -0.65

```
data_GeS2
_chemical_formula_sum 'Ge4 S8'
_symmetry_space_group_name_H-M 'I -4 2 d'
_symmetry_Int_Tables_number 122
_symmetry_space_group_name_Hall 'I -4 2bw'
_cell_length_a 5.785
_cell_length_b 5.785
_cell_length_c 9.101
_cell_angle_alpha 90.00
_cell_angle_beta 90.00
_cell_angle_gamma 90.00
loop_
_atom_site_label
_atom_site_type_symbol
_atom_site_fract_x
_atom_site_fract_y
_atom_site_fract_z
_atom_site_occupancy
Ge1 Ge 0.000 0.000 0.000 1
S1 S 0.224 0.750 0.125 1
```